# 1
An optimized crystal structure of Ta2O5. Source: the Materials Project database, functional PBE.

Geometry as CIF:
```
data_Ta2O5
_chemical_formula_sum 'Ta22 O55'
_cell_length_a 6.338
_cell_length_b 3.844
_cell_length_c 40.952
_cell_angle_alpha 90.00
_cell_angle_beta 90.85
_cell_angle_gamma 90.00
_symmetry_space_group_name_H-M 'P 1 m 1'
_symmetry_Int_Tables_number 6
_symmetry_space_group_name_Hall 'P -2y'
loop_
_atom_site_label
_atom_site_fract_x
_atom_site_fract_y
_atom_site_fract_z
Ta1 0.000 0.000 0.000
Ta2 0.002 0.000 0.183
Ta3 0.021 0.000 0.731
Ta4 0.064 0.000 0.913
Ta5 0.420 0.000 0.411
Ta6 0.446 0.000 0.135
Ta7 0.451 0.000 0.320
Ta8 0.454 0.000 0.593
Ta9 0.459 0.000 0.685
Ta10 0.493 0.000 0.866
Ta11 0.525 0.000 0.958
Ta12 0.532 0.000 0.049
Ta13 0.537 0.000 0.495
Ta14 0.556 0.000 0.220
Ta15 0.583 0.000 0.769
Ta16 0.898 0.000 0.553
Ta17 0.904 0.000 0.278
Ta18 0.933 0.000 0.829
Ta19 0.953 0.000 0.366
Ta20 0.980 0.000 0.457
Ta21 0.986 0.000 0.639
Ta22 0.990 0.000 0.092
O1 0.000 0.500 0.732
O2 0.010 0.500 0.632
O3 0.067 0.000 0.412
O4 0.076 0.500 0.906
O5 0.107 0.000 0.138
O6 0.107 0.000 0.685
O7 0.177 0.000 0.575
O8 0.188 0.000 0.857
O9 0.189 0.000 0.959
O10 0.190 0.000 0.297
O11 0.271 0.000 0.023
O12 0.285 0.000 0.465
O13 0.294 0.000 0.363
O14 0.301 0.000 0.193
O15 0.314 0.000 0.087
O16 0.320 0.000 0.741
O17 0.331 0.000 0.638
O18 0.393 0.500 0.416
O19 0.409 0.000 0.911
O20 0.426 0.500 0.141
O21 0.433 0.500 0.691
O22 0.481 0.500 0.325
O23 0.481 0.500 0.597
O24 0.491 0.500 0.500
O25 0.497 0.500 0.961
O26 0.503 0.500 0.862
O27 0.517 0.500 0.225
O28 0.537 0.500 0.774
O29 0.563 0.500 0.054
O30 0.570 0.000 0.546
O31 0.577 0.000 0.271
O32 0.616 0.000 0.819
O33 0.657 0.000 0.002
O34 0.658 0.000 0.449
O35 0.678 0.000 0.173
O36 0.679 0.000 0.386
O37 0.685 0.000 0.105
O38 0.695 0.000 0.724
O39 0.721 0.000 0.661
O40 0.786 0.000 0.322
O41 0.788 0.000 0.598
O42 0.811 0.000 0.941
O43 0.814 0.000 0.875
O44 0.853 0.000 0.503
O45 0.871 0.000 0.229
O46 0.889 0.000 0.047
O47 0.903 0.000 0.778
O48 0.934 0.500 0.547
O49 0.937 0.500 0.274
O50 0.973 0.500 0.461
O51 0.973 0.500 0.994
O52 0.977 0.500 0.823
O53 0.979 0.500 0.359
O54 0.990 0.500 0.186
O55 0.995 0.500 0.094
```

## Properties
ΔH_f (0 K) in kJ/mol of atoms: -318
Crystal system: monoclinic

=====

# 2
An optimized crystal structure of Ta2O5. Source: the Materials Project database, functional PBE.

Geometry as CIF:
```
data_Ta2O5
_chemical_formula_sum 'Ta4 O10'
_cell_length_a 6.139
_cell_length_b 5.209
_cell_length_c 5.827
_cell_angle_alpha 90.00
_cell_angle_beta 118.77
_cell_angle_gamma 90.00
_symmetry_space_group_name_H-M 'C 1 2 1'
_symmetry_Int_Tables_number 5
_symmetry_space_group_name_Hall 'C 2y'
loop_
_atom_site_label
_atom_site_fract_x
_atom_site_fract_y
_atom_site_fract_z
Ta1 0.191 0.000 0.295
O1 0.000 0.758 0.500
O2 0.077 0.327 0.355
O3 0.173 0.974 0.961
```

## Properties
ΔH_f (0 K) in kJ/mol of atoms: -283
Crystal system: monoclinic

=====

# 3
An optimized crystal structure of Ta2O5. Source: the Materials Project database, functional PBE.

Geometry as CIF:
```
data_Ta2O5
_chemical_formula_sum 'Ta2 O5'
_cell_length_a 3.863
_cell_length_b 3.868
_cell_length_c 6.676
_cell_angle_alpha 90.00
_cell_angle_beta 100.68
_cell_angle_gamma 90.00
_symmetry_space_group_name_H-M 'P 1 2/m 1'
_symmetry_Int_Tables_number 10
_symmetry_space_group_name_Hall '-P 2y'
loop_
_atom_site_label
_atom_site_fract_x
_atom_site_fract_y
_atom_site_fract_z
Ta1 0.173 0.000 0.289
O1 0.000 0.000 0.000
O2 0.225 0.500 0.283
O3 0.284 0.000 0.624
```

## Properties
ΔH_f (0 K) in kJ/mol of atoms: -321
Crystal system: monoclinic

=====

# 4
An optimized crystal structure of Ta2O5. Source: the Materials Project database, functional PBE.

Geometry as CIF:
```
data_Ta2O5
_chemical_formula_sum 'Ta8 O20'
_cell_length_a 3.814
_cell_length_b 10.790
_cell_length_c 12.582
_cell_angle_alpha 90.00
_cell_angle_beta 90.00
_cell_angle_gamma 90.00
_symmetry_space_group_name_H-M 'C m c m'
_symmetry_Int_Tables_number 63
_symmetry_space_group_name_Hall '-C 2c 2'
loop_
_atom_site_label
_atom_site_fract_x
_atom_site_fract_y
_atom_site_fract_z
Ta1 0.000 0.209 0.104
O1 0.000 0.048 0.112
O2 0.000 0.256 0.565
O3 0.000 0.264 0.250
```

## Properties
ΔH_f (0 K) in kJ/mol of atoms: -301
Crystal system: orthorhombic

=====

# 5
An optimized crystal structure of Ta2O5. Source: the Materials Project database, functional PBE.

Geometry as CIF:
```
data_Ta2O5
_chemical_formula_sum 'Ta30 O75'
_cell_length_a 11.316
_cell_length_b 12.054
_cell_length_c 12.056
_cell_angle_alpha 83.75
_cell_angle_beta 89.62
_cell_angle_gamma 87.82
_symmetry_space_group_name_H-M 'P 1'
_symmetry_Int_Tables_number 1
_symmetry_space_group_name_Hall 'P 1'
loop_
_atom_site_label
_atom_site_fract_x
_atom_site_fract_y
_atom_site_fract_z
Ta1 0.000 0.000 0.000
Ta2 0.005 0.161 0.612
Ta3 0.054 0.836 0.267
Ta4 0.089 0.686 0.771
Ta5 0.117 0.216 0.898
Ta6 0.160 0.327 0.184
Ta7 0.171 0.953 0.537
Ta8 0.175 0.667 0.487
Ta9 0.224 0.368 0.472
Ta10 0.250 0.621 0.055
Ta11 0.382 0.745 0.303
Ta12 0.399 0.118 0.389
Ta13 0.424 0.396 0.081
Ta14 0.448 0.214 0.855
Ta15 0.457 0.966 0.153
Ta16 0.473 0.878 0.569
Ta17 0.531 0.382 0.588
Ta18 0.549 0.909 0.872
Ta19 0.574 0.665 0.961
Ta20 0.630 0.604 0.517
Ta21 0.650 0.810 0.359
Ta22 0.706 0.225 0.415
Ta23 0.719 0.455 0.171
Ta24 0.771 0.032 0.202
Ta25 0.824 0.608 0.760
Ta26 0.856 0.321 0.926
Ta27 0.861 0.908 0.754
Ta28 0.955 0.129 0.345
Ta29 0.955 0.483 0.555
Ta30 0.998 0.550 0.271
O1 0.023 0.050 0.482
O2 0.026 0.353 0.886
O3 0.028 0.431 0.171
O4 0.036 0.622 0.420
O5 0.038 0.829 0.719
O6 0.045 0.188 0.759
O7 0.075 0.896 0.117
O8 0.088 0.213 0.285
O9 0.102 0.824 0.477
O10 0.121 0.624 0.147
O11 0.126 0.255 0.529
O12 0.138 0.482 0.551
O13 0.139 0.051 0.648
O14 0.150 0.056 0.951
O15 0.159 0.255 0.055
O16 0.173 0.433 0.328
O17 0.190 0.674 0.904
O18 0.196 0.667 0.646
O19 0.198 0.755 0.314
O20 0.250 0.031 0.420
O21 0.251 0.462 0.066
O22 0.284 0.230 0.841
O23 0.306 0.872 0.606
O24 0.322 0.624 0.426
O25 0.326 0.252 0.411
O26 0.326 0.880 0.197
O27 0.334 0.315 0.195
O28 0.359 0.668 0.159
O29 0.369 0.392 0.553
O30 0.396 0.083 0.237
O31 0.405 0.842 0.414
O32 0.441 0.547 0.996
O33 0.451 0.041 0.526
O34 0.452 0.967 0.998
O35 0.455 0.770 0.891
O36 0.472 0.284 0.989
O37 0.504 0.308 0.740
O38 0.511 0.076 0.826
O39 0.523 0.893 0.715
O40 0.539 0.834 0.225
O41 0.541 0.722 0.576
O42 0.547 0.672 0.365
O43 0.553 0.407 0.172
O44 0.557 0.183 0.368
O45 0.572 0.509 0.654
O46 0.590 0.470 0.454
O47 0.615 0.050 0.157
O48 0.616 0.910 0.462
O49 0.639 0.806 0.985
O50 0.648 0.265 0.555
O51 0.652 0.589 0.093
O52 0.672 0.630 0.844
O53 0.715 0.940 0.822
O54 0.731 0.346 0.307
O55 0.748 0.242 0.869
O56 0.750 0.700 0.440
O57 0.767 0.879 0.269
O58 0.771 0.083 0.366
O59 0.789 0.376 0.062
O60 0.793 0.553 0.601
O61 0.809 0.774 0.700
O62 0.822 0.459 0.831
O63 0.839 0.545 0.224
O64 0.846 0.991 0.073
O65 0.875 0.161 0.199
O66 0.885 0.215 0.463
O67 0.886 0.043 0.665
O68 0.939 0.452 0.404
O69 0.941 0.340 0.620
O70 0.943 0.653 0.858
O71 0.952 0.918 0.888
O72 0.956 0.723 0.247
O73 0.958 0.164 0.973
O74 0.974 0.973 0.299
O75 0.988 0.587 0.679
```

## Properties
ΔH_f (0 K) in kJ/mol of atoms: -306
Crystal system: triclinic

=====

# 6
An optimized crystal structure of Ta2O5. Source: the Materials Project database, functional PBE.

Geometry as CIF:
```
data_Ta2O5
_chemical_formula_sum 'Ta4 O10'
_cell_length_a 18.761
_cell_length_b 3.142
_cell_length_c 5.989
_cell_angle_alpha 90.00
_cell_angle_beta 101.35
_cell_angle_gamma 90.00
_symmetry_space_group_name_H-M 'C 1 m 1'
_symmetry_Int_Tables_number 8
_symmetry_space_group_name_Hall 'C -2y'
loop_
_atom_site_label
_atom_site_fract_x
_atom_site_fract_y
_atom_site_fract_z
Ta1 0.000 0.000 0.000
Ta2 0.057 0.500 0.572
O1 0.009 0.500 0.247
O2 0.063 0.500 0.915
O3 0.118 0.000 0.549
O4 0.406 0.500 0.943
O5 0.490 0.500 0.636
```

## Properties
ΔH_f (0 K) in kJ/mol of atoms: -292
Crystal system: monoclinic

=====

# 7
An optimized crystal structure of Ta2O5. Source: the Materials Project database, functional PBE.

Geometry as CIF:
```
data_Ta2O5
_chemical_formula_sum 'Ta30 O75'
_cell_length_a 11.722
_cell_length_b 11.836
_cell_length_c 12.214
_cell_angle_alpha 88.85
_cell_angle_beta 88.69
_cell_angle_gamma 89.08
_symmetry_space_group_name_H-M 'P 1'
_symmetry_Int_Tables_number 1
_symmetry_space_group_name_Hall 'P 1'
loop_
_atom_site_label
_atom_site_fract_x
_atom_site_fract_y
_atom_site_fract_z
Ta1 0.000 0.000 0.000
Ta2 0.002 0.266 0.832
Ta3 0.081 0.075 0.512
Ta4 0.081 0.755 0.353
Ta5 0.102 0.616 0.100
Ta6 0.190 0.012 0.252
Ta7 0.203 0.328 0.117
Ta8 0.228 0.260 0.373
Ta9 0.237 0.801 0.613
Ta10 0.248 0.338 0.820
Ta11 0.248 0.812 0.917
Ta12 0.366 0.505 0.668
Ta13 0.425 0.833 0.333
Ta14 0.454 0.962 0.076
Ta15 0.466 0.124 0.859
Ta16 0.493 0.855 0.729
Ta17 0.529 0.312 0.463
Ta18 0.564 0.527 0.061
Ta19 0.599 0.027 0.340
Ta20 0.655 0.582 0.771
Ta21 0.657 0.234 0.993
Ta22 0.742 0.936 0.935
Ta23 0.769 0.372 0.638
Ta24 0.772 0.820 0.381
Ta25 0.796 0.675 0.109
Ta26 0.828 0.951 0.645
Ta27 0.847 0.658 0.603
Ta28 0.895 0.377 0.140
Ta29 0.914 0.055 0.242
Ta30 0.970 0.460 0.413
O1 0.001 0.501 0.150
O2 0.007 0.608 0.352
O3 0.041 0.306 0.099
O4 0.059 0.903 0.275
O5 0.064 0.056 0.143
O6 0.087 0.390 0.872
O7 0.107 0.383 0.397
O8 0.129 0.209 0.764
O9 0.138 0.925 0.959
O10 0.140 0.216 0.526
O11 0.153 0.742 0.488
O12 0.157 0.692 0.219
O13 0.163 0.948 0.572
O14 0.177 0.681 0.965
O15 0.184 0.190 0.234
O16 0.190 0.816 0.758
O17 0.199 0.481 0.079
O18 0.215 0.079 0.394
O19 0.233 0.401 0.675
O20 0.261 0.869 0.319
O21 0.269 0.282 0.983
O22 0.280 0.361 0.254
O23 0.288 0.642 0.635
O24 0.319 0.023 0.159
O25 0.343 0.842 0.031
O26 0.358 0.455 0.826
O27 0.362 0.219 0.787
O28 0.368 0.023 0.934
O29 0.376 0.252 0.426
O30 0.392 0.854 0.609
O31 0.400 0.791 0.833
O32 0.418 0.706 0.411
O33 0.419 0.558 0.074
O34 0.439 0.416 0.561
O35 0.457 0.980 0.405
O36 0.472 0.838 0.181
O37 0.512 0.014 0.750
O38 0.512 0.569 0.703
O39 0.515 0.138 0.017
O40 0.558 0.040 0.197
O41 0.576 0.405 0.360
O42 0.579 0.923 0.969
O43 0.584 0.362 0.061
O44 0.600 0.168 0.405
O45 0.607 0.229 0.849
O46 0.608 0.589 0.918
O47 0.613 0.849 0.351
O48 0.620 0.761 0.722
O49 0.636 0.636 0.147
O50 0.649 0.294 0.582
O51 0.703 0.428 0.780
O52 0.735 0.529 0.601
O53 0.736 0.965 0.778
O54 0.738 0.084 0.989
O55 0.738 0.941 0.525
O56 0.741 0.712 0.494
O57 0.756 0.782 0.998
O58 0.778 0.987 0.316
O59 0.805 0.512 0.084
O60 0.805 0.738 0.252
O61 0.806 0.303 0.020
O62 0.812 0.640 0.756
O63 0.866 0.197 0.206
O64 0.879 0.404 0.297
O65 0.880 0.371 0.519
O66 0.880 0.963 0.110
O67 0.881 0.290 0.732
O68 0.902 0.812 0.644
O69 0.910 0.926 0.899
O70 0.934 0.810 0.417
O71 0.943 0.058 0.610
O72 0.960 0.697 0.073
O73 0.963 0.566 0.552
O74 0.983 0.146 0.937
O75 0.991 0.084 0.380
```

## Properties
ΔH_f (0 K) in kJ/mol of atoms: -304
Crystal system: triclinic

=====

Number 1: total energy -9.729 eV/atom. Number 2: total energy -9.363 eV/atom. Number 3: total energy -9.757 eV/atom. Number 4: total energy -9.554 eV/atom. Number 5: total energy -9.601 eV/atom. Number 6: total energy -9.457 eV/atom. Number 7: total energy -9.579 eV/atom.